1.
## Ce11MnS16 (PBE-GGA)

Data for an optimized crystal structure of Ce11MnS16.

Output
crystal system: orthorhombic
total DFT energy (no corrections): -387.112 eV/cell
energy relative to the elements: -2178 meV/atom

a = 8.4994 Å, b = 17.0467 Å, c = 8.5620 Å
α = 90.00°, β = 90.00°, γ = 90.00°
Space group P2_12_12 (No. 18)
One atom of each set of equivalent atoms:
Ce: 0.0000 0.0000 0.1287 x2
Ce: 0.9997 0.2496 0.3767 x4
Ce: 0.1222 0.6240 0.7563 x4
Ce: 0.1293 0.1243 0.7524 x4
Ce: 0.2471 0.3154 0.0018 x4
Ce: 0.2474 0.4390 0.4931 x4
Mn: 0.0000 0.5000 0.1234 x2
S: 0.0707 0.6546 0.0817 x4
S: 0.0748 0.0876 0.4266 x4
S: 0.0759 0.1633 0.0754 x4
S: 0.0775 0.5897 0.4324 x4
S: 0.1745 0.7885 0.6763 x4
S: 0.1761 0.2877 0.6750 x4
S: 0.1788 0.4615 0.8176 x4
S: 0.1885 0.9655 0.8332 x4

---

2.
## Ce4Mn3Sb8 (PBE-GGA)

Data for an optimized crystal structure of Ce4Mn3Sb8.

Output
crystal system: tetragonal
total DFT energy (no corrections): -92.777 eV/cell
energy relative to the elements: -671 meV/atom

a = 4.3802 Å, b = 4.3802 Å, c = 20.2692 Å
α = 90.00°, β = 90.00°, γ = 90.00°
Space group P-4m2 (No. 115)
One atom of each set of equivalent atoms:
Ce: 0.0000 0.5000 0.1247 x2
Ce: 0.0000 0.5000 0.6297 x2
Mn: 0.0000 0.0000 0.5000 x1
Mn: 0.5000 0.5000 0.0000 x1
Mn: 0.5000 0.5000 0.5000 x1
Sb: 0.0000 0.0000 0.2479 x2
Sb: 0.0000 0.5000 0.4176 x2
Sb: 0.0000 0.5000 0.9258 x2
Sb: 0.5000 0.5000 0.2474 x2